# 1
A relaxed K2UO4 crystal. Source: the Materials Project database, functional r²SCAN.

Space-group type: I4/mmm

a = 4.328 Å, b = 4.328 Å, c = 7.296 Å
α = 107.25°, β = 107.25°, γ = 90.00°
Positions (direct):
K: 0.348 0.348 0.696
K: 0.652 0.652 0.304
U: 0.000 0.000 0.000
O: 0.500 0.000 0.000
O: 0.000 0.500 0.000
O: 0.854 0.854 0.708
O: 0.146 0.146 0.292

---

# 2
A relaxed Ni2SbTe crystal. Source: the Materials Project database, functional r²SCAN.

Space-group type: P-6m2

a = 3.966 Å, b = 3.966 Å, c = 5.203 Å
α = 90.00°, β = 90.00°, γ = 120.00°
Positions (direct):
Ni: 0.000 0.000 0.997
Ni: 0.000 0.000 0.503
Sb: 0.667 0.333 0.750
Te: 0.333 0.667 0.250

---

# 3
A relaxed TaTeCl9 crystal. Source: the Materials Project database, functional r²SCAN.

Space-group type: P-1

a = 6.502 Å, b = 9.389 Å, c = 11.448 Å
α = 105.40°, β = 105.75°, γ = 91.77°
Positions (direct):
Ta: 0.868 0.740 0.294
Ta: 0.132 0.260 0.706
Te: 0.699 0.666 0.834
Te: 0.301 0.334 0.166
Cl: 0.127 0.751 0.478
Cl: 0.873 0.249 0.522
Cl: 0.738 0.492 0.294
Cl: 0.262 0.508 0.706
Cl: 0.006 0.958 0.275
Cl: 0.994 0.042 0.725
Cl: 0.098 0.609 0.172
Cl: 0.902 0.391 0.828
Cl: 0.600 0.696 0.090
Cl: 0.400 0.304 0.910
Cl: 0.622 0.844 0.390
Cl: 0.378 0.156 0.610
Cl: 0.037 0.798 0.934
Cl: 0.963 0.202 0.066
Cl: 0.721 0.635 0.631
Cl: 0.279 0.365 0.369
Cl: 0.524 0.880 0.838
Cl: 0.476 0.120 0.162

---

# 4
A relaxed Zr3Au crystal. Source: the Materials Project database, functional r²SCAN.

Space-group type: Pm-3n

a = 5.508 Å, b = 5.508 Å, c = 5.508 Å
α = 90.00°, β = 90.00°, γ = 90.00°
Positions (direct):
Zr: 0.500 0.250 0.000
Zr: 0.500 0.750 0.000
Zr: 0.250 0.000 0.500
Zr: 0.750 0.000 0.500
Zr: 0.000 0.500 0.250
Zr: 0.000 0.500 0.750
Au: 0.500 0.500 0.500
Au: 0.000 0.000 0.000

---

# 5
A relaxed Er5Co2Te2 crystal. Source: the Materials Project database, functional r²SCAN.

Space-group type: Cmcm

a = 7.757 Å, b = 7.757 Å, c = 14.840 Å
α = 90.00°, β = 90.00°, γ = 150.92°
Positions (direct):
Er: 0.605 0.395 0.250
Er: 0.742 0.258 0.632
Er: 0.962 0.038 0.126
Er: 0.038 0.962 0.874
Er: 0.395 0.605 0.750
Er: 0.962 0.038 0.374
Er: 0.038 0.962 0.626
Er: 0.258 0.742 0.132
Er: 0.258 0.742 0.368
Er: 0.742 0.258 0.868
Co: 0.413 0.587 0.250
Co: 0.587 0.413 0.750
Co: 0.823 0.177 0.250
Co: 0.177 0.823 0.750
Te: 0.619 0.381 0.038
Te: 0.619 0.381 0.462
Te: 0.381 0.619 0.538
Te: 0.381 0.619 0.962

---

# 6
A relaxed TbB4W crystal. Source: the Materials Project database, functional r²SCAN.

Space-group type: Pbam

a = 6.038 Å, b = 11.669 Å, c = 3.629 Å
α = 90.00°, β = 90.00°, γ = 90.00°
Positions (direct):
Tb: 0.627 0.351 0.000
Tb: 0.373 0.649 0.000
Tb: 0.127 0.149 0.000
Tb: 0.873 0.851 0.000
B: 0.786 0.186 0.500
B: 0.214 0.814 0.500
B: 0.286 0.314 0.500
B: 0.714 0.686 0.500
B: 0.866 0.032 0.500
B: 0.134 0.968 0.500
B: 0.366 0.468 0.500
B: 0.634 0.532 0.500
B: 0.887 0.453 0.500
B: 0.113 0.547 0.500
B: 0.387 0.047 0.500
B: 0.613 0.953 0.500
B: 0.976 0.307 0.500
B: 0.024 0.693 0.500
B: 0.476 0.193 0.500
B: 0.524 0.807 0.500
W: 0.630 0.084 0.000
W: 0.370 0.916 0.000
W: 0.130 0.416 0.000
W: 0.870 0.584 0.000

---

# 7
A relaxed Ho4Co3 crystal. Source: the Materials Project database, functional r²SCAN.

Space-group type: P-3

a = 4.043 Å, b = 11.136 Å, c = 11.136 Å
α = 60.00°, β = 90.00°, γ = 90.00°
Positions (direct):
Ho: 0.750 0.620 0.866
Ho: 0.750 0.514 0.620
Ho: 0.750 0.866 0.514
Ho: 0.250 0.380 0.134
Ho: 0.250 0.486 0.380
Ho: 0.250 0.134 0.486
Ho: 0.750 0.779 0.249
Ho: 0.750 0.972 0.779
Ho: 0.750 0.249 0.972
Ho: 0.250 0.221 0.751
Ho: 0.250 0.028 0.221
Ho: 0.250 0.751 0.028
Co: 0.749 0.333 0.333
Co: 0.251 0.667 0.667
Co: 0.749 0.284 0.558
Co: 0.749 0.158 0.284
Co: 0.749 0.558 0.158
Co: 0.251 0.716 0.442
Co: 0.251 0.842 0.716
Co: 0.251 0.442 0.842
Co: 0.500 0.000 0.000

---

# 8
A relaxed Mg14CrMo crystal. Source: the Materials Project database, functional r²SCAN.

Space-group type: P-6m2

a = 6.256 Å, b = 6.256 Å, c = 9.979 Å
α = 90.00°, β = 90.00°, γ = 120.00°
Positions (direct):
Mg: 0.168 0.834 0.125
Mg: 0.168 0.834 0.625
Mg: 0.666 0.332 0.125
Mg: 0.666 0.332 0.625
Mg: 0.666 0.834 0.125
Mg: 0.666 0.834 0.625
Mg: 0.327 0.173 0.379
Mg: 0.327 0.173 0.871
Mg: 0.327 0.655 0.379
Mg: 0.327 0.655 0.871
Mg: 0.845 0.173 0.379
Mg: 0.845 0.173 0.871
Mg: 0.833 0.667 0.376
Mg: 0.833 0.667 0.874
Cr: 0.167 0.333 0.125
Mo: 0.167 0.333 0.625

---

Number 1: E -19.449 eV/atom. Number 2: E -18.967 eV/atom. Number 3: E -12.866 eV/atom. Number 4: E -30.096 eV/atom. Number 5: E -28.216 eV/atom. Number 6: E -19.297 eV/atom. Number 7: E -24.525 eV/atom. Number 8: E -6.068 eV/atom.